Record 1
Compound: Ti3O7
Source: Materials Project
Functional: PBE
Structure: relaxed

Lattice parameters (Å, degrees): 17.496 17.496 9.497 98.18 98.18 12.16
Atoms (fractional coordinates):
Ti (0.194, 0.194, 0.341)
Ti (0.214, 0.214, 0.029)
Ti (0.233, 0.233, 0.723)
Ti (0.767, 0.767, 0.277)
Ti (0.786, 0.786, 0.971)
Ti (0.806, 0.806, 0.659)
O (0.140, 0.140, 0.367)
O (0.175, 0.175, 0.141)
O (0.195, 0.195, 0.840)
O (0.206, 0.206, 0.543)
O (0.251, 0.251, 0.256)
O (0.270, 0.270, 0.946)
O (0.290, 0.290, 0.660)
O (0.710, 0.710, 0.340)
O (0.730, 0.730, 0.054)
O (0.749, 0.749, 0.744)
O (0.794, 0.794, 0.457)
O (0.805, 0.805, 0.160)
O (0.825, 0.825, 0.859)
O (0.860, 0.860, 0.633)

Properties
**DFT formation energy**: -2.91 eV per atom
**E**: -8.265 eV/atom
**Calculated density**: 1.400 g cm⁻³
**Energy above the lowest structure with this stoichiometry**: 0.000 eV/atom
**Symmetry**: C2/m, No. 12

=====

Record 2
Compound: LiCuPO4
Source: Materials Project
Functional: PBE
Structure: relaxed

Lattice parameters (Å, degrees): 4.875 9.254 7.609 90.00 122.62 90.00
Atoms (fractional coordinates):
Li (0.155, 0.149, 0.181)
Li (0.155, 0.351, 0.681)
Li (0.845, 0.649, 0.319)
Li (0.845, 0.851, 0.819)
Cu (0.000, 0.000, 0.500)
Cu (0.000, 0.500, 0.000)
Cu (0.500, 0.000, 0.000)
Cu (0.500, 0.500, 0.500)
P (0.354, 0.674, 0.819)
P (0.354, 0.826, 0.319)
P (0.646, 0.174, 0.681)
P (0.646, 0.326, 0.181)
O (0.054, 0.654, 0.837)
O (0.054, 0.846, 0.337)
O (0.269, 0.595, 0.614)
O (0.269, 0.905, 0.114)
O (0.324, 0.119, 0.489)
O (0.324, 0.381, 0.989)
O (0.404, 0.660, 0.300)
O (0.404, 0.840, 0.800)
O (0.596, 0.160, 0.200)
O (0.596, 0.340, 0.700)
O (0.676, 0.619, 0.011)
O (0.676, 0.881, 0.511)
O (0.731, 0.095, 0.886)
O (0.731, 0.405, 0.386)
O (0.946, 0.154, 0.663)
O (0.946, 0.346, 0.163)

Properties
**DFT formation energy**: -2.20 eV per atom
**E**: -6.263 eV/atom
**Calculated density**: 3.802 g cm⁻³
**Energy above the lowest structure with this stoichiometry**: 0.000 eV/atom
**Symmetry**: P2_1/c, No. 14

=====

Record 3
Compound: EuIn3
Source: Materials Project
Functional: PBE
Structure: relaxed

Lattice parameters (Å, degrees): 6.849 6.849 5.320 90.00 90.00 120.00
Atoms (fractional coordinates):
Eu (0.333, 0.667, 0.250)
Eu (0.667, 0.333, 0.750)
In (0.157, 0.315, 0.750)
In (0.157, 0.843, 0.750)
In (0.315, 0.157, 0.250)
In (0.685, 0.843, 0.750)
In (0.843, 0.157, 0.250)
In (0.843, 0.685, 0.250)

Properties
**DFT formation energy**: -0.36 eV per atom
**E**: -4.990 eV/atom
**Calculated density**: 7.628 g cm⁻³
**Symmetry**: P6_3/mmc, No. 194

=====

Record 4
Compound: NbNiB
Source: Materials Project
Functional: PBE
Structure: relaxed

Lattice parameters (Å, degrees): 6.884 6.884 3.079 90.00 90.00 152.25
Atoms (fractional coordinates):
Nb (0.098, 0.902, 0.750)
Nb (0.902, 0.098, 0.250)
Ni (0.295, 0.705, 0.750)
Ni (0.705, 0.295, 0.250)
B (0.466, 0.534, 0.750)
B (0.534, 0.466, 0.250)

Properties
**DFT formation energy**: -0.56 eV per atom
**E**: -8.080 eV/atom
**Calculated density**: 7.940 g cm⁻³
**Symmetry**: Cmcm, No. 63

=====

Record 5
Compound: TiIr3
Source: Materials Project
Functional: PBE
Structure: relaxed

Lattice parameters (Å, degrees): 3.878 3.878 3.878 90.00 90.00 90.00
Atoms (fractional coordinates):
Ti (0.000, 0.000, 0.000)
Ir (0.000, 0.500, 0.500)
Ir (0.500, 0.000, 0.500)
Ir (0.500, 0.500, 0.000)

Properties
**DFT formation energy**: -0.73 eV per atom
**E**: -9.336 eV/atom
**Calculated density**: 17.775 g cm⁻³
**Symmetry**: Pm-3m, No. 221

=====

Record 6
Compound: YN
Source: Materials Project
Functional: PBE
Structure: relaxed

Lattice parameters (Å, degrees): 4.040 4.040 4.930 90.00 90.00 120.00
Atoms (fractional coordinates):
Y (0.333, 0.667, 0.250)
Y (0.667, 0.333, 0.750)
N (0.333, 0.667, 0.750)
N (0.667, 0.333, 0.250)

Properties
**DFT formation energy**: -1.78 eV per atom
**E**: -9.001 eV/atom
**Calculated density**: 4.905 g cm⁻³
**Symmetry**: P6_3/mmc, No. 194

=====

Record 7
Compound: K2NaInI6
Source: Materials Project
Functional: PBE
Structure: relaxed

Lattice parameters (Å, degrees): 8.582 8.582 8.582 60.00 60.00 60.00
Atoms (fractional coordinates):
K (0.250, 0.250, 0.250)
K (0.750, 0.750, 0.750)
Na (0.000, 0.000, 0.000)
In (0.500, 0.500, 0.500)
I (0.258, 0.258, 0.742)
I (0.258, 0.742, 0.258)
I (0.258, 0.742, 0.742)
I (0.742, 0.258, 0.258)
I (0.742, 0.258, 0.742)
I (0.742, 0.742, 0.258)

Properties
**DFT formation energy**: -1.20 eV per atom
**E**: -2.514 eV/atom
**Calculated density**: 3.631 g cm⁻³
**Symmetry**: Fm-3m, No. 225

=====

Record 8
Compound: Ti20Ge9Sb3
Source: Materials Project
Functional: PBE
Structure: relaxed

Lattice parameters (Å, degrees): 7.674 5.251 13.410 90.00 90.01 90.00
Atoms (fractional coordinates):
Ti (0.000, 0.000, 0.000)
Ti (0.006, 0.000, 0.744)
Ti (0.132, 0.500, 0.875)
Ti (0.147, 0.000, 0.382)
Ti (0.260, 0.500, 0.504)
Ti (0.262, 0.500, 0.250)
Ti (0.390, 0.253, 0.705)
Ti (0.390, 0.747, 0.705)
Ti (0.394, 0.256, 0.042)
Ti (0.394, 0.744, 0.042)
Ti (0.506, 0.000, 0.507)
Ti (0.517, 0.000, 0.245)
Ti (0.631, 0.500, 0.375)
Ti (0.649, 0.000, 0.875)
Ti (0.759, 0.500, 0.003)
Ti (0.761, 0.500, 0.747)
Ti (0.881, 0.256, 0.206)
Ti (0.881, 0.744, 0.206)
Ti (0.889, 0.253, 0.546)
Ti (0.889, 0.747, 0.546)
Ge (0.000, 0.500, 0.376)
Ge (0.082, 0.500, 0.068)
Ge (0.083, 0.500, 0.682)
Ge (0.190, 0.000, 0.572)
Ge (0.502, 0.500, 0.874)
Ge (0.580, 0.500, 0.182)
Ge (0.583, 0.500, 0.569)
Ge (0.690, 0.000, 0.070)
Ge (0.690, 0.000, 0.681)
Sb (0.190, 0.000, 0.180)
Sb (0.276, 0.000, 0.874)
Sb (0.778, 0.000, 0.377)

Properties
**DFT formation energy**: -0.65 eV per atom
**E**: -7.249 eV/atom
**Calculated density**: 6.074 g cm⁻³
**Symmetry**: Pm, No. 6

=====

Record 9
Compound: Hf5Al3C
Source: Materials Project
Functional: PBE
Structure: relaxed

Lattice parameters (Å, degrees): 8.159 8.159 5.688 90.00 90.00 120.00
Atoms (fractional coordinates):
Hf (0.000, 0.224, 0.250)
Hf (0.000, 0.776, 0.750)
Hf (0.224, 0.000, 0.250)
Hf (0.224, 0.224, 0.750)
Hf (0.333, 0.667, 0.000)
Hf (0.333, 0.667, 0.500)
Hf (0.667, 0.333, 0.000)
Hf (0.667, 0.333, 0.500)
Hf (0.776, 0.000, 0.750)
Hf (0.776, 0.776, 0.250)
Al (0.000, 0.403, 0.750)
Al (0.000, 0.597, 0.250)
Al (0.403, 0.000, 0.750)
Al (0.403, 0.403, 0.250)
Al (0.597, 0.000, 0.250)
Al (0.597, 0.597, 0.750)
C (0.000, 0.000, 0.000)
C (0.000, 0.000, 0.500)

Properties
**DFT formation energy**: -0.47 eV per atom
**E**: -8.272 eV/atom
**Calculated density**: 9.980 g cm⁻³
**Symmetry**: P6_3/mcm, No. 193

=====

Record 10
Compound: LiLa5Ti8O24
Source: Materials Project
Functional: PBE
Structure: relaxed

Lattice parameters (Å, degrees): 7.825 7.795 7.876 90.00 90.24 90.00
Atoms (fractional coordinates):
Li (0.000, 0.000, 0.000)
La (0.249, 0.500, 0.986)
La (0.250, 0.000, 0.489)
La (0.273, 0.500, 0.487)
La (0.744, 0.500, 0.990)
La (0.749, 0.000, 0.502)
Ti (0.505, 0.244, 0.746)
Ti (0.505, 0.756, 0.746)
Ti (0.506, 0.246, 0.236)
Ti (0.506, 0.754, 0.236)
Ti (0.996, 0.251, 0.246)
Ti (0.996, 0.251, 0.743)
Ti (0.996, 0.749, 0.246)
Ti (0.996, 0.749, 0.743)
O (0.002, 0.262, 0.003)
O (0.002, 0.738, 0.003)
O (0.020, 0.000, 0.754)
O (0.032, 0.500, 0.254)
O (0.237, 0.292, 0.734)
O (0.237, 0.708, 0.734)
O (0.240, 0.231, 0.274)
O (0.240, 0.769, 0.274)
O (0.454, 0.500, 0.242)
O (0.463, 0.000, 0.723)
O (0.480, 0.267, 0.000)
O (0.480, 0.733, 0.000)
O (0.488, 0.255, 0.502)
O (0.488, 0.745, 0.502)
O (0.510, 0.500, 0.765)
O (0.517, 0.000, 0.282)
O (0.741, 0.222, 0.755)
O (0.741, 0.280, 0.238)
O (0.741, 0.720, 0.238)
O (0.741, 0.778, 0.755)
O (0.963, 0.500, 0.766)
O (0.968, 0.000, 0.251)
O (0.984, 0.226, 0.502)
O (0.984, 0.774, 0.502)

Properties
**DFT formation energy**: -3.62 eV per atom
**E**: -8.674 eV/atom
**Calculated density**: 5.075 g cm⁻³
**Energy above the lowest structure with this stoichiometry**: 0.018 eV/atom
**Symmetry**: Pm, No. 6

=====

Record 11
Compound: TiZnGa2
Source: Materials Project
Functional: PBE
Structure: relaxed

Lattice parameters (Å, degrees): 3.974 3.974 3.877 90.00 90.00 90.00
Atoms (fractional coordinates):
Ti (0.000, 0.000, 0.000)
Zn (0.500, 0.500, 0.000)
Ga (0.000, 0.500, 0.500)
Ga (0.500, 0.000, 0.500)

Properties
**DFT formation energy**: -0.37 eV per atom
**E**: -4.177 eV/atom
**Calculated density**: 6.854 g cm⁻³
**Symmetry**: P4/mmm, No. 123

=====

Record 12
Compound: Ga2HgO4
Source: Materials Project
Functional: PBE
Structure: relaxed

Lattice parameters (Å, degrees): 6.248 6.248 6.248 60.00 60.00 60.00
Atoms (fractional coordinates):
Ga (0.000, 0.000, 0.000)
Ga (0.000, 0.000, 0.500)
Ga (0.000, 0.500, 0.000)
Ga (0.500, 0.000, 0.000)
Hg (0.375, 0.375, 0.375)
Hg (0.625, 0.625, 0.625)
O (0.189, 0.770, 0.770)
O (0.230, 0.230, 0.230)
O (0.230, 0.230, 0.811)
O (0.230, 0.811, 0.230)
O (0.770, 0.189, 0.770)
O (0.770, 0.770, 0.189)
O (0.770, 0.770, 0.770)
O (0.811, 0.230, 0.230)

Properties
**DFT formation energy**: -1.77 eV per atom
**E**: -5.112 eV/atom
**Calculated density**: 7.779 g cm⁻³
**Energy above the lowest structure with this stoichiometry**: 0.000 eV/atom
**Symmetry**: Fd-3m, No. 227

=====

Among the records above, which one has the highest E?
K2NaInI6

=====

Repeat the eleventh record exactly.
Compound: TiZnGa2
Source: Materials Project
Functional: PBE
Structure: relaxed

Lattice parameters (Å, degrees): 3.974 3.974 3.877 90.00 90.00 90.00
Atoms (fractional coordinates):
Ti (0.000, 0.000, 0.000)
Zn (0.500, 0.500, 0.000)
Ga (0.000, 0.500, 0.500)
Ga (0.500, 0.000, 0.500)

Properties
**DFT formation energy**: -0.37 eV per atom
**E**: -4.177 eV/atom
**Calculated density**: 6.854 g cm⁻³
**Symmetry**: P4/mmm, No. 123

=====

DFT formation energy of number 12 (Ga2HgO4)?
-1.77 eV per atom

=====

Among the records above, which one has the highest calculated density?
TiIr3